Entry 1:
The following is a DFT calculation (GGA+U) of a relaxed Mn6PO12 crystal.

Results
Energy relative to the elements ... -2.05 eV per atom
Total moment ... 23.000 μB per formula unit
Crystal system ... tetragonal
E_tot ... -7.391 eV/atom

abc: 11.6449 11.6449 11.6449
angles: 131.71 131.71 70.69
Last column: nearest neighbours and their distance in Å.
Sites, in units of the cell vectors:
Mn (0.6250, 0.4003, 0.2753)  4 O 1.95-2.01
Mn (0.7702, 0.2702, 0.0403)  4 O 1.97
Mn (0.8750, 0.6250, 0.7500)  4 O 1.91-2.06
Mn (0.5997, 0.8750, 0.2247)  4 O 1.95-2.01
Mn (0.3750, 0.1250, 0.2500)  4 O 1.91-2.06
Mn (0.9798, 0.9798, 0.4597)  4 O 1.97
Mn (0.1250, 0.8497, 0.2247)  4 O 1.95-2.01
Mn (0.2298, 0.7298, 0.9597)  4 O 1.97
Mn (0.0997, 0.8750, 0.7247)  4 O 1.95-2.01
Mn (0.8750, 0.6250, 0.2500)  4 O 1.91-2.06
Mn (0.3750, 0.6250, 0.2500)  4 O 1.91-2.06
Mn (0.5202, 0.5202, 0.5403)  4 O 1.97
Mn (0.7298, 0.7702, 0.5000)  4 O 1.97
Mn (0.3750, 0.6250, 0.7500)  4 O 1.91-2.06
Mn (0.1503, 0.3750, 0.2753)  4 O 1.95-2.01
Mn (0.2702, 0.2298, 0.5000)  4 O 1.97
Mn (0.0202, 0.4798, 0.0000)  4 O 1.97
Mn (0.8750, 0.1250, 0.2500)  4 O 1.91-2.06
Mn (0.4798, 0.0202, 0.0000)  4 O 1.97
Mn (0.3750, 0.1250, 0.7500)  4 O 1.91-2.06
Mn (0.6503, 0.3750, 0.7753)  4 O 1.95-2.01
Mn (0.6250, 0.9003, 0.7753)  4 O 1.95-2.01
Mn (0.8750, 0.1250, 0.7500)  4 O 1.91-2.06
Mn (0.1250, 0.3497, 0.7247)  4 O 1.95-2.01
O (0.4442, 0.6301, 0.9814)  1 P 1.54
O (0.1487, 0.1301, 0.1859)  1 P 1.54
O (0.7819, 0.3051, 0.2387)  3 Mn 1.95-2.06
O (0.4711, 0.4956, 0.3266)  3 Mn 1.91-2.01
O (0.6837, 0.7068, 0.7387)  3 Mn 1.95-2.06
O (0.0551, 0.3163, 0.0232)  3 Mn 1.95-2.06
O (0.7789, 0.6055, 0.5244)  3 Mn 1.91-2.01
O (0.4681, 0.2068, 0.0232)  3 Mn 1.95-2.06
O (0.2789, 0.7544, 0.1734)  3 Mn 1.91-2.01
O (0.7127, 0.3987, 0.5186)  1 P 1.54
O (0.8699, 0.0558, 0.0186)  1 P 1.54
O (0.3058, 0.6199, 0.5186)  1 P 1.54
O (0.5551, 0.5319, 0.7387)  3 Mn 1.95-2.06
O (0.2456, 0.4190, 0.5244)  3 Mn 1.91-2.01
O (0.3945, 0.9190, 0.1734)  3 Mn 1.91-2.01
O (0.1690, 0.1445, 0.6734)  3 Mn 1.91-2.01
O (0.9568, 0.4337, 0.2387)  3 Mn 1.95-2.06
O (0.8801, 0.1942, 0.4814)  1 P 1.54
O (0.3699, 0.3513, 0.8141)  1 P 1.54
O (0.8058, 0.2873, 0.6859)  1 P 1.54
O (0.5044, 0.8310, 0.9756)  3 Mn 1.91-2.01
O (0.9442, 0.9627, 0.8141)  1 P 1.54
O (0.6487, 0.4627, 0.0186)  1 P 1.54
O (0.6013, 0.1199, 0.3141)  1 P 1.54
O (0.2127, 0.6942, 0.3141)  1 P 1.54
O (0.4568, 0.2181, 0.5232)  3 Mn 1.95-2.06
O (0.3801, 0.8987, 0.6859)  1 P 1.54
O (0.1837, 0.4449, 0.9768)  3 Mn 1.95-2.06
O (0.9711, 0.6445, 0.9756)  3 Mn 1.91-2.01
O (0.2932, 0.0319, 0.9768)  3 Mn 1.95-2.06
O (0.1013, 0.7873, 0.4814)  1 P 1.54
O (0.9681, 0.9449, 0.2613)  3 Mn 1.95-2.06
O (0.8945, 0.7211, 0.4756)  3 Mn 1.91-2.01
O (0.1949, 0.7181, 0.7613)  3 Mn 1.95-2.06
O (0.8555, 0.5289, 0.0244)  3 Mn 1.91-2.01
O (0.0663, 0.5432, 0.7613)  3 Mn 1.95-2.06
O (0.0373, 0.8513, 0.9814)  1 P 1.54
O (0.5663, 0.8051, 0.5232)  3 Mn 1.95-2.06
O (0.6949, 0.9337, 0.4768)  3 Mn 1.95-2.06
O (0.0810, 0.2544, 0.4756)  3 Mn 1.91-2.01
O (0.5373, 0.5558, 0.1859)  1 P 1.54
O (0.7456, 0.2211, 0.8266)  3 Mn 1.91-2.01
O (0.5810, 0.1055, 0.8266)  3 Mn 1.91-2.01
O (0.6690, 0.9956, 0.0244)  3 Mn 1.91-2.01
O (0.2819, 0.0432, 0.4768)  3 Mn 1.95-2.06
O (0.7932, 0.8163, 0.2613)  3 Mn 1.95-2.06
O (0.3555, 0.3310, 0.3266)  3 Mn 1.91-2.01
O (0.0044, 0.0289, 0.6734)  3 Mn 1.91-2.01
P (0.7500, 0.2500, 0.5000)  4 O 1.54
P (0.2500, 0.7500, 0.5000)  4 O 1.54
P (0.5000, 0.5000, 0.0000)  4 O 1.54
P (0.0000, 0.0000, 0.0000)  4 O 1.54

=====

Entry 2:
The following is a DFT calculation (GGA+U) of a relaxed Mn2P5O15 crystal.

Results
Energy relative to the elements ... -2.50 eV per atom
Total moment ... 9.000 μB per formula unit
Crystal system ... monoclinic
E_tot ... -7.320 eV/atom

abc: 8.5507 5.4044 13.6347
angles: 71.40 90.00 90.00
Last column: nearest neighbours and their distance in Å.
Sites, in units of the cell vectors:
O (0.4710, 0.2659, 0.9394)  1 P 1.52
O (0.6588, 0.2837, 0.1514)  2 P 1.59-1.63
O (0.4710, 0.7341, 0.5606)  1 P 1.52
O (0.0592, 0.7678, 0.8100)  2 P 1.61
O (0.1452, 0.0944, 0.3278)  1 P 1.51
O (0.8548, 0.0944, 0.8278)  1 P 1.51
O (0.3681, 0.3046, 0.1317)  1 P 1.51
O (0.6588, 0.7163, 0.3486)  2 P 1.59-1.63
O (0.1450, 0.5852, 0.5312)  1 P 1.50
O (0.1759, 0.0992, 0.5404)  1 P 1.49
O (0.9408, 0.7678, 0.3100)  2 P 1.61
O (0.8548, 0.9056, 0.6722)  1 P 1.51
O (0.3412, 0.7163, 0.8486)  2 P 1.59-1.63
O (0.6319, 0.6954, 0.8683)  1 P 1.51
O (0.4982, 0.5000, 0.2500)  2 P 1.57
O (0.5290, 0.7341, 0.0606)  1 P 1.52
O (0.5018, 0.5000, 0.7500)  2 P 1.57
O (0.5290, 0.2659, 0.4394)  1 P 1.52
O (0.8550, 0.5852, 0.0312)  1 P 1.50
O (0.3412, 0.2837, 0.6514)  2 P 1.59-1.63
O (0.1759, 0.9008, 0.9596)  1 P 1.49
O (0.3681, 0.6954, 0.3683)  1 P 1.51
O (0.8241, 0.0992, 0.0404)  1 P 1.49
O (0.6319, 0.3046, 0.6317)  1 P 1.51
O (0.9408, 0.2322, 0.1900)  2 P 1.61
O (0.0592, 0.2322, 0.6900)  2 P 1.61
O (0.8241, 0.9008, 0.4596)  1 P 1.49
O (0.1452, 0.9056, 0.1722)  1 P 1.51
O (0.8550, 0.4148, 0.4688)  1 P 1.50
O (0.1450, 0.4148, 0.9688)  1 P 1.50
P (0.4910, 0.4654, 0.6400)  4 O 1.51-1.59
P (0.5090, 0.5346, 0.3600)  4 O 1.51-1.59
P (0.8255, 0.6946, 0.4081)  4 O 1.49-1.63
P (0.8255, 0.3054, 0.0919)  4 O 1.49-1.63
P (0.4910, 0.5346, 0.8600)  4 O 1.51-1.59
P (0.1745, 0.3054, 0.5919)  4 O 1.49-1.63
P (0.0583, 0.0000, 0.2500)  4 O 1.51-1.61
P (0.1745, 0.6946, 0.9081)  4 O 1.49-1.63
P (0.9417, 0.0000, 0.7500)  4 O 1.51-1.61
P (0.5090, 0.4654, 0.1400)  4 O 1.51-1.59
Mn (0.7182, 0.0949, 0.5453)  5 O 2.02-2.17
Mn (0.7182, 0.9051, 0.9547)  5 O 2.02-2.17
Mn (0.2818, 0.9051, 0.4547)  5 O 2.02-2.17
Mn (0.2818, 0.0949, 0.0453)  5 O 2.02-2.17

=====

Entry 3:
The following is a DFT calculation (GGA+U) of a relaxed MnPO4 crystal.

Results
Energy relative to the elements ... -2.29 eV per atom
Total moment ... 4.000 μB per formula unit
Crystal system ... monoclinic
E_tot ... -7.279 eV/atom

abc: 7.5291 7.5291 9.3291
angles: 89.99 90.01 59.92
Last column: nearest neighbours and their distance in Å.
Sites, in units of the cell vectors:
P (0.6669, 0.6665, 0.7794)  4 O 1.54-1.59
P (0.3335, 0.3331, 0.2794)  4 O 1.54-1.59
P (0.9996, 0.0004, 0.0233)  4 O 1.52-1.56
P (0.9996, 0.0004, 0.5233)  4 O 1.52-1.56
P (0.3331, 0.3331, 0.6706)  4 O 1.54-1.61
P (0.6669, 0.6669, 0.1706)  4 O 1.54-1.61
Mn (0.6057, 0.9475, 0.4688)  3 O 1.93-1.96
Mn (0.0525, 0.3943, 0.9688)  3 O 1.93-1.96
Mn (0.5533, 0.0521, 0.9687)  3 O 1.93-1.96
Mn (0.4464, 0.6055, 0.4689)  3 O 1.94-1.96
Mn (0.9479, 0.4467, 0.4687)  3 O 1.93-1.96
Mn (0.3945, 0.5536, 0.9689)  3 O 1.94-1.96
O (0.6678, 0.6668, 0.3434)  1 P 1.61
O (0.4922, 0.3912, 0.3310)  1 P 1.54
O (0.8839, 0.6084, 0.8316)  1 P 1.54
O (0.1161, 0.1083, 0.9650)  1 P 1.56
O (0.8917, 0.8839, 0.4650)  1 P 1.56
O (0.1437, 0.3212, 0.6230)  1 P 1.54
O (0.0003, 0.9998, 0.6858)  1 P 1.52
O (0.8830, 0.2253, 0.4653)  1 P 1.56
O (0.0002, 0.9997, 0.1858)  1 P 1.52
O (0.5346, 0.1436, 0.6230)  1 P 1.54
O (0.6088, 0.5078, 0.8310)  1 P 1.54
O (0.8564, 0.4654, 0.1230)  1 P 1.54
O (0.4656, 0.6789, 0.1238)  1 P 1.54
O (0.6788, 0.8563, 0.1230)  1 P 1.54
O (0.3332, 0.3322, 0.8434)  1 P 1.61
O (0.2244, 0.8922, 0.4653)  1 P 1.56
O (0.6671, 0.6670, 0.6093)  1 P 1.59
O (0.7747, 0.1170, 0.9653)  1 P 1.56
O (0.5080, 0.8837, 0.8314)  1 P 1.54
O (0.3211, 0.5344, 0.6238)  1 P 1.54
O (0.3330, 0.3329, 0.1093)  1 P 1.59
O (0.1078, 0.7756, 0.9653)  1 P 1.56
O (0.3916, 0.1161, 0.3316)  1 P 1.54
O (0.1163, 0.4920, 0.3314)  1 P 1.54

=====

Entry 4:
The following is a DFT calculation (GGA+U) of a relaxed Mn2P4O13 crystal.

Results
Energy relative to the lowest polymorph listed for this composition ... 76 meV/atom
Energy relative to the elements ... -2.41 eV per atom
Total moment ... 8.000 μB per formula unit
Crystal system ... monoclinic
E_tot ... -7.254 eV/atom

abc: 7.0455 7.0455 14.3735
angles: 67.99 67.99 52.25
Last column: nearest neighbours and their distance in Å.
Sites, in units of the cell vectors:
Mn (0.2492, 0.3057, 0.6058)  4 O 1.89-1.97
Mn (0.6943, 0.7508, 0.8942)  4 O 1.89-1.97
Mn (0.3057, 0.2492, 0.1058)  4 O 1.89-1.97
Mn (0.7508, 0.6943, 0.3942)  4 O 1.89-1.97
P (0.8085, 0.1445, 0.8618)  4 O 1.49-1.62
P (0.8167, 0.7580, 0.1571)  4 O 1.52-1.60
P (0.8555, 0.1915, 0.6382)  4 O 1.49-1.62
P (0.7580, 0.8167, 0.6571)  4 O 1.52-1.60
P (0.1445, 0.8085, 0.3618)  4 O 1.49-1.62
P (0.1833, 0.2420, 0.8429)  4 O 1.52-1.60
P (0.2420, 0.1833, 0.3429)  4 O 1.52-1.60
P (0.1915, 0.8555, 0.1382)  4 O 1.49-1.62
O (0.7371, 0.2629, 0.7500)  2 P 1.62
O (0.3803, 0.6838, 0.0672)  1 P 1.49
O (0.9904, 0.4388, 0.9068)  1 P 1.52
O (0.1182, 0.1227, 0.6106)  1 P 1.52
O (0.7314, 0.6639, 0.2684)  1 P 1.53
O (0.3361, 0.2686, 0.2316)  1 P 1.53
O (0.3966, 0.0620, 0.8997)  1 P 1.53
O (0.5612, 0.0096, 0.5932)  1 P 1.52
O (0.6838, 0.3803, 0.5672)  1 P 1.49
O (0.0620, 0.3966, 0.3997)  1 P 1.53
O (0.6034, 0.9380, 0.1003)  1 P 1.53
O (0.9248, 0.9001, 0.1599)  2 P 1.60-1.62
O (0.0752, 0.0999, 0.8401)  2 P 1.60-1.62
O (0.6197, 0.3162, 0.9328)  1 P 1.49
O (0.0096, 0.5612, 0.0932)  1 P 1.52
O (0.8818, 0.8773, 0.3894)  1 P 1.52
O (0.1227, 0.1182, 0.1106)  1 P 1.52
O (0.8773, 0.8818, 0.8894)  1 P 1.52
O (0.6639, 0.7314, 0.7684)  1 P 1.53
O (0.2629, 0.7371, 0.2500)  2 P 1.62
O (0.2686, 0.3361, 0.7316)  1 P 1.53
O (0.4388, 0.9904, 0.4068)  1 P 1.52
O (0.9380, 0.6034, 0.6003)  1 P 1.53
O (0.0999, 0.0752, 0.3401)  2 P 1.60-1.62
O (0.3162, 0.6197, 0.4328)  1 P 1.49
O (0.9001, 0.9248, 0.6599)  2 P 1.60-1.62